Here is a relaxed Ce3Zn22 crystal from Materials Project. Energies are from GGA-PBE.

Values from the calculation:
The total magnetization is 0.12 μB per formula unit.

Cell lengths 12.331, 12.331, 12.331 Å; angles 137.71, 137.71, 61.34 degrees
Fractional coordinates of all 50 atoms:
Ce1 0.125 0.875 0.250
Ce2 0.254 0.504 0.750
Ce3 0.496 0.746 0.750
Ce4 0.504 0.254 0.250
Ce5 0.746 0.496 0.250
Ce6 0.875 0.125 0.750
Zn1 0.000 0.000 0.000
Zn2 0.000 0.000 0.500
Zn3 0.000 0.500 0.000
Zn4 0.043 0.319 0.239
Zn5 0.043 0.803 0.724
Zn6 0.117 0.220 0.602
Zn7 0.117 0.515 0.898
Zn8 0.139 0.737 0.402
Zn9 0.151 0.623 0.527
Zn10 0.165 0.263 0.902
Zn11 0.197 0.420 0.239
Zn12 0.197 0.957 0.776
Zn13 0.220 0.117 0.102
Zn14 0.263 0.165 0.402
Zn15 0.263 0.861 0.098
Zn16 0.319 0.043 0.739
Zn17 0.319 0.580 0.276
Zn18 0.377 0.404 0.527
Zn19 0.377 0.849 0.973
Zn20 0.404 0.377 0.027
Zn21 0.420 0.197 0.739
Zn22 0.420 0.681 0.224
Zn23 0.485 0.883 0.602
Zn24 0.500 0.000 0.500
Zn25 0.515 0.117 0.398
Zn26 0.580 0.319 0.776
Zn27 0.580 0.803 0.261
Zn28 0.596 0.623 0.973
Zn29 0.623 0.151 0.027
Zn30 0.623 0.596 0.473
Zn31 0.681 0.420 0.724
Zn32 0.681 0.957 0.261
Zn33 0.737 0.139 0.902
Zn34 0.737 0.835 0.598
Zn35 0.780 0.883 0.898
Zn36 0.803 0.043 0.224
Zn37 0.803 0.580 0.761
Zn38 0.835 0.737 0.098
Zn39 0.849 0.377 0.473
Zn40 0.861 0.263 0.598
Zn41 0.883 0.485 0.102
Zn42 0.883 0.780 0.398
Zn43 0.957 0.197 0.276
Zn44 0.957 0.681 0.761

=====

Here is a relaxed SrSi2Ag2 crystal from Materials Project. Energies are from GGA-PBE.

Cell lengths 4.419, 4.419, 10.570 Å; angles 90.00, 90.00, 90.00 degrees
Fractional coordinates of all 10 atoms:
Sr1 0.000 0.000 0.000
Sr2 0.500 0.500 0.500
Si1 0.000 0.000 0.389
Si2 0.000 0.000 0.611
Si3 0.500 0.500 0.111
Si4 0.500 0.500 0.889
Ag1 0.000 0.500 0.250
Ag2 0.000 0.500 0.750
Ag3 0.500 0.000 0.250
Ag4 0.500 0.000 0.750

=====

Here is a relaxed Ba2SmGaTe5 crystal from Materials Project. Energies are from GGA-PBE.

Values from the calculation:
The total magnetization is 0.00 μB per formula unit.

Cell lengths 7.905, 9.398, 10.234 Å; angles 103.45, 102.83, 107.38 degrees
Fractional coordinates of all 18 atoms:
Ba1 0.139 0.481 0.293
Ba2 0.147 0.986 0.289
Ba3 0.853 0.014 0.711
Ba4 0.861 0.519 0.707
Sm1 0.499 0.234 0.998
Sm2 0.501 0.766 0.002
Ga1 0.309 0.374 0.688
Ga2 0.691 0.626 0.312
Te1 0.016 0.759 0.509
Te2 0.195 0.907 0.941
Te3 0.204 0.408 0.929
Te4 0.486 0.175 0.678
Te5 0.486 0.658 0.681
Te6 0.514 0.342 0.319
Te7 0.514 0.825 0.322
Te8 0.796 0.592 0.071
Te9 0.805 0.093 0.059
Te10 0.984 0.241 0.491

=====

Here is a relaxed PrGa3Pt crystal from Materials Project. Energies are from GGA-PBE.

Cell lengths 4.246, 4.246, 10.844 Å; angles 90.00, 90.00, 90.00 degrees
Fractional coordinates of all 10 atoms:
Pr1 0.000 0.000 0.000
Pr2 0.500 0.500 0.500
Ga1 0.000 0.000 0.385
Ga2 0.000 0.000 0.615
Ga3 0.000 0.500 0.250
Ga4 0.500 0.000 0.750
Ga5 0.500 0.500 0.115
Ga6 0.500 0.500 0.885
Pt1 0.000 0.500 0.750
Pt2 0.500 0.000 0.250

=====

Number 1: calculated density 7.36 g/cm3, ΔH_f (0 K) -0.251 eV/atom. Number 2: calculated density 5.79 g/cm3, ΔH_f (0 K) -0.295 eV/atom. Number 3: calculated density 5.61 g/cm3, ΔH_f (0 K) -1.532 eV/atom. Number 4: calculated density 9.26 g/cm3, ΔH_f (0 K) -0.726 eV/atom.